No. 1
## Fe24N11 (PBE-GGA)

Data for an optimized crystal structure of Fe24N11.

- Space-group type: C2/c
- Spin magnetization: 78.1 μB per cell
- Formation energy from the elements: -0.1486 eV per atom
- V: 9.54 Å³/atom

Cell: 6.962 6.962 14.160 Å, 89.96 89.96 103.43°
Element x y z (fractional)
Fe1 0.938 0.315 0.973
Fe2 0.434 0.810 0.970
Fe3 0.682 0.563 0.640
Fe4 0.814 0.435 0.806
Fe5 0.938 0.816 0.528
Fe6 0.184 0.062 0.972
Fe7 0.814 0.435 0.141
Fe8 0.449 0.313 0.195
Fe9 0.685 0.062 0.527
Fe10 0.436 0.314 0.527
Fe11 0.435 0.814 0.641
Fe12 0.186 0.565 0.194
Fe13 0.315 0.938 0.473
Fe14 0.551 0.687 0.805
Fe15 0.314 0.933 0.802
Fe16 0.194 0.069 0.304
Fe17 0.190 0.566 0.530
Fe18 0.686 0.564 0.973
Fe19 0.565 0.186 0.694
Fe20 0.191 0.065 0.638
Fe21 0.062 0.184 0.472
Fe22 0.437 0.318 0.860
Fe23 0.318 0.437 0.360
Fe24 0.931 0.806 0.196
Fe25 0.066 0.688 0.361
Fe26 0.810 0.434 0.470
Fe27 0.564 0.686 0.473
Fe28 0.186 0.565 0.859
Fe29 0.809 0.935 0.362
Fe30 0.935 0.809 0.862
Fe31 0.686 0.067 0.198
Fe32 0.312 0.934 0.139
Fe33 0.067 0.686 0.698
Fe34 0.934 0.312 0.639
Fe35 0.435 0.814 0.306
Fe36 0.688 0.066 0.861
Fe37 0.069 0.194 0.804
Fe38 0.565 0.186 0.359
Fe39 0.062 0.685 0.027
Fe40 0.314 0.436 0.027
Fe41 0.566 0.190 0.030
Fe42 0.065 0.191 0.138
Fe43 0.816 0.938 0.028
Fe44 0.687 0.551 0.305
Fe45 0.313 0.449 0.695
Fe46 0.806 0.931 0.696
Fe47 0.563 0.682 0.140
Fe48 0.933 0.314 0.302
N1 0.179 0.821 0.250
N2 0.178 0.318 0.582
N3 0.682 0.816 0.584
N4 0.819 0.185 0.413
N5 0.679 0.320 0.918
N6 0.185 0.819 0.913
N7 0.181 0.815 0.587
N8 0.184 0.318 0.916
N9 0.320 0.679 0.418
N10 0.821 0.179 0.750
N11 0.681 0.816 0.252
N12 0.822 0.682 0.418
N13 0.319 0.184 0.748
N14 0.682 0.822 0.918
N15 0.815 0.181 0.087
N16 0.184 0.319 0.248
N17 0.318 0.178 0.082
N18 0.680 0.321 0.582
N19 0.321 0.680 0.082
N20 0.816 0.682 0.084
N21 0.816 0.681 0.752
N22 0.318 0.184 0.416



No. 2
## Fe2N (PBE-GGA)

Data for an optimized crystal structure of Fe2N.

- Space-group type: P-6m2
- Spin magnetization: 1.8 μB per cell
- Formation energy from the elements: 0.0647 eV per atom
- V: 9.30 Å³/atom

Cell: 2.616 2.616 4.710 Å, 90.00 90.00 60.01°
Element x y z (fractional)
Fe1 0.000 0.000 0.011
Fe2 0.000 0.000 0.489
N1 0.333 0.333 0.750



No. 3
## FeN (PBE-GGA)

Data for an optimized crystal structure of FeN.

- Space-group type: P6_3/mmc
- Spin magnetization: 3.4 μB per cell
- Formation energy from the elements: -0.1251 eV per atom
- V: 8.12 Å³/atom

Cell: 2.738 2.738 5.004 Å, 90.00 90.00 120.00°
Element x y z (fractional)
Fe1 0.000 0.000 0.000
Fe2 0.000 0.000 0.500
N1 0.333 0.667 0.750
N2 0.667 0.333 0.250



No. 4
## Fe8N (PBE-GGA)

Data for an optimized crystal structure of Fe8N.

- Space-group type: I4/mmm
- Formation energy from the elements: -0.0692 eV per atom
- V: 11.23 Å³/atom

Cell: 5.092 5.092 5.092 Å, 111.98 111.98 104.56°
Element x y z (fractional)
Fe1 0.757 0.243 0.000
Fe2 0.243 0.243 0.486
Fe3 0.706 0.706 0.000
Fe4 0.243 0.757 0.000
Fe5 0.294 0.294 0.000
Fe6 0.750 0.250 0.500
Fe7 0.757 0.757 0.514
Fe8 0.250 0.750 0.500
N1 0.000 0.000 0.000



For each record above, in turn, the calculated DFT total energy values are -8.463 -8.240 -8.348 -8.484 eV/atom.